This record from the Materials Project describes a relaxed Fe3S4 crystal. The functional is GGA-PBE.

Summary:
For the formation energy, the calculation gives -0.4250 eV/atom. As for the space group: R3m. As for the spin magnetization: 3.813 μB/f.u.

Cell lengths 12.720, 12.720, 12.720 Å; angles 13.91, 13.91, 13.91 degrees
Fractional positions:
1 Fe 0.000 0.000 0.000
2 Fe 0.181 0.181 0.181
3 Fe 0.424 0.424 0.424
4 S 0.634 0.634 0.634
5 S 0.716 0.716 0.716
6 S 0.799 0.799 0.799
7 S 0.882 0.882 0.882

This record from the Materials Project describes a relaxed FeS crystal. The functional is GGA-PBE.

Summary:
For the formation energy, the calculation gives -0.4584 eV/atom. As for the space group: P1. As for the spin magnetization: 2.194 μB/f.u.

Cell lengths 5.895, 5.897, 11.421 Å; angles 89.98, 89.97, 60.02 degrees
Fractional positions:
1 Fe 0.000 0.000 0.000
2 Fe 0.000 0.000 0.258
3 Fe 0.146 0.927 0.758
4 Fe 0.147 0.927 0.500
5 Fe 0.395 0.394 0.500
6 Fe 0.395 0.395 0.758
7 Fe 0.468 0.248 0.000
8 Fe 0.468 0.248 0.258
9 Fe 0.678 0.643 0.500
10 Fe 0.679 0.642 0.758
11 Fe 0.752 0.716 0.000
12 Fe 0.752 0.716 0.258
13 S 0.070 0.662 0.129
14 S 0.073 0.321 0.879
15 S 0.074 0.321 0.379
16 S 0.076 0.659 0.629
17 S 0.407 0.654 0.354
18 S 0.407 0.655 0.904
19 S 0.411 0.981 0.629
20 S 0.414 0.984 0.129
21 S 0.733 0.323 0.629
22 S 0.736 0.318 0.129
23 S 0.740 0.988 0.405
24 S 0.740 0.988 0.853

Per-record calculated density, kg/m³: 4744, 5094